Material: MgTe2Mo3WSe4S2
Method: DFT, PBE
State: relaxed

The structure in POSCAR format:
```
MgTe2Mo3WSe4S2
1.0
-3.278 0.575 0.268
1.776 -0.825 2.703
8.383 44.089 7.955
Mg Se Mo S W Te
1 4 3 2 1 2
direct
0.000 0.000 0.560
0.333 0.667 0.702
0.667 0.333 0.426
0.667 0.333 0.500
0.333 0.667 0.629
0.333 0.667 0.094
0.334 0.667 0.463
0.667 0.333 0.282
0.333 0.667 0.315
0.333 0.667 0.249
0.667 0.333 0.666
0.666 0.333 0.136
0.666 0.333 0.052
```

Values from the calculation:
- E_form (eV/f.u.) = -7.17
- distance to the lowest polymorph of the same formula (eV per atom) = 0.017
- crystal system = trigonal
- symmetry = P3m1, No. 156

=====

Material: MgTe4Mo2W2Se2S2
Method: DFT, PBE
State: relaxed

The structure in POSCAR format:
```
MgTe4Mo2W2Se2S2
1.0
-2.138 -1.977 -1.735
1.152 -0.997 3.028
-36.045 20.888 20.614
Mg Mo W S Te Se
1 2 2 2 4 2
direct
0.000 0.000 0.192
0.333 0.666 0.088
0.667 0.333 0.658
0.333 0.667 0.470
0.667 0.333 0.291
0.334 0.667 0.258
0.333 0.667 0.323
0.333 0.667 0.617
0.333 0.666 0.698
0.667 0.333 0.047
0.666 0.333 0.129
0.667 0.334 0.434
0.667 0.333 0.505
```

Values from the calculation:
- E_form (eV/f.u.) = -5.61
- distance to the lowest polymorph of the same formula (eV per atom) = 0.000
- crystal system = monoclinic
- symmetry = Cm, No. 8

=====

Material: MgTe4MoW3Se2S2
Method: DFT, PBE
State: relaxed

The structure in POSCAR format:
```
MgTe4MoW3Se2S2
1.0
-3.328 0.189 0.624
1.262 -2.663 -1.679
5.221 -18.614 33.457
Se Mg W Te Mo S
2 1 3 4 1 2
direct
0.667 0.333 0.427
0.667 0.333 0.512
0.293 0.664 0.874
0.667 0.333 0.658
0.333 0.667 0.094
0.333 0.667 0.470
0.667 0.333 0.143
0.333 0.667 0.609
0.667 0.333 0.045
0.333 0.667 0.706
0.667 0.333 0.282
0.333 0.667 0.321
0.333 0.667 0.243
```

Values from the calculation:
- E_form (eV/f.u.) = -4.33
- distance to the lowest polymorph of the same formula (eV per atom) = 0.055
- crystal system = triclinic
- symmetry = P1, No. 1

=====

Material: MgTe4Mo3WSe2S2
Method: DFT, PBE
State: relaxed

The structure in POSCAR format:
```
MgTe4Mo3WSe2S2
1.0
3.392 -0.001 0.000
-1.696 2.937 0.000
-0.001 0.001 38.729
S Mg Te Mo W Se
2 1 4 3 1 2
direct
0.667 0.333 0.431
0.667 0.333 0.509
0.598 0.370 0.875
0.667 0.333 0.142
0.333 0.667 0.609
0.333 0.667 0.706
0.667 0.333 0.046
0.333 0.667 0.470
0.667 0.333 0.282
0.333 0.667 0.094
0.667 0.333 0.658
0.333 0.667 0.239
0.333 0.667 0.324
```

Values from the calculation:
- E_form (eV/f.u.) = -5.28
- distance to the lowest polymorph of the same formula (eV per atom) = 0.059
- crystal system = triclinic
- symmetry = P1, No. 1

=====

Material: MgTe4Mo3WSe2S2
Method: DFT, PBE
State: relaxed

The structure in POSCAR format:
```
MgTe4Mo3WSe2S2
1.0
-1.957 1.746 -2.165
2.825 -1.530 -1.116
-23.716 -37.407 -8.721
Te S Mg Mo Se W
4 2 1 3 2 1
direct
0.333 0.667 0.240
0.333 0.667 0.705
0.333 0.667 0.324
0.333 0.667 0.622
0.667 0.333 0.430
0.667 0.333 0.496
0.000 0.000 0.554
0.333 0.667 0.463
0.333 0.667 0.094
0.667 0.333 0.663
0.667 0.333 0.058
0.667 0.333 0.130
0.667 0.333 0.282
```

Values from the calculation:
- E_form (eV/f.u.) = -5.62
- distance to the lowest polymorph of the same formula (eV per atom) = 0.033
- crystal system = trigonal
- symmetry = P3m1, No. 156

=====

Material: MgTe2Mo3WSe4S2
Method: DFT, PBE
State: relaxed

The structure in POSCAR format:
```
MgTe2Mo3WSe4S2
1.0
3.337 0.000 0.000
-1.669 2.890 0.000
0.000 0.002 45.205
S Mg Se Mo Te W
2 1 4 3 2 1
direct
0.667 0.333 0.444
0.667 0.333 0.511
0.000 0.000 0.375
0.667 0.333 0.057
0.667 0.333 0.131
0.333 0.667 0.239
0.333 0.667 0.313
0.667 0.333 0.276
0.667 0.333 0.658
0.333 0.667 0.094
0.333 0.667 0.616
0.333 0.667 0.700
0.333 0.667 0.477
```

Values from the calculation:
- E_form (eV/f.u.) = -7.38
- distance to the lowest polymorph of the same formula (eV per atom) = 0.001
- crystal system = trigonal
- symmetry = P3m1, No. 156

=====

Material: MgTe4Mo3WSe2S2
Method: DFT, PBE
State: relaxed

The structure in POSCAR format:
```
MgTe4Mo3WSe2S2
1.0
-2.029 -1.882 -1.972
3.186 -1.013 0.617
-14.393 -22.891 36.637
Mo S Te Se W Mg
3 2 4 2 1 1
direct
0.333 0.667 0.094
0.333 0.666 0.477
0.667 0.333 0.275
0.667 0.333 0.444
0.667 0.333 0.510
0.333 0.667 0.234
0.333 0.667 0.699
0.333 0.667 0.317
0.333 0.666 0.616
0.667 0.334 0.130
0.667 0.333 0.058
0.667 0.333 0.658
0.000 0.001 0.385
```

Values from the calculation:
- E_form (eV/f.u.) = -5.61
- distance to the lowest polymorph of the same formula (eV per atom) = 0.034
- crystal system = trigonal
- symmetry = P3m1, No. 156

=====

Material: MgTe4Mo3WSe2S2
Method: DFT, PBE
State: relaxed

The structure in POSCAR format:
```
MgTe4Mo3WSe2S2
1.0
3.390 0.000 0.000
-1.695 2.935 0.000
0.000 -0.003 46.434
S Mg Te Se Mo W
2 1 4 2 3 1
direct
0.667 0.333 0.511
0.667 0.333 0.447
0.000 0.000 0.378
0.333 0.667 0.235
0.333 0.667 0.316
0.333 0.666 0.617
0.333 0.667 0.698
0.667 0.333 0.129
0.667 0.333 0.058
0.333 0.667 0.094
0.667 0.333 0.658
0.667 0.333 0.275
0.333 0.667 0.479
```

Values from the calculation:
- E_form (eV/f.u.) = -5.97
- distance to the lowest polymorph of the same formula (eV per atom) = 0.006
- crystal system = trigonal
- symmetry = P3m1, No. 156

=====

Material: MgTe4MoW3Se2S2
Method: DFT, PBE
State: relaxed

The structure in POSCAR format:
```
MgTe4MoW3Se2S2
1.0
-1.314 -1.338 -2.826
2.561 -1.561 1.585
-30.561 -24.111 25.626
S W Te Se Mg Mo
2 3 4 2 1 1
direct
0.667 0.333 0.428
0.667 0.333 0.493
0.667 0.333 0.282
0.333 0.667 0.461
0.667 0.333 0.664
0.333 0.667 0.241
0.333 0.667 0.705
0.333 0.667 0.322
0.333 0.667 0.623
0.667 0.333 0.129
0.667 0.333 0.059
0.000 0.000 0.559
0.333 0.667 0.094
```

Values from the calculation:
- E_form (eV/f.u.) = -4.74
- distance to the lowest polymorph of the same formula (eV per atom) = 0.023
- crystal system = trigonal
- symmetry = P3m1, No. 156

=====

Material: MgTe4Mo3WSe2S2
Method: DFT, PBE
State: relaxed

The structure in POSCAR format:
```
MgTe4Mo3WSe2S2
1.0
3.400 0.000 0.000
-1.700 2.944 -0.002
-0.002 -0.022 46.181
Mo Te S Se W Mg
3 4 2 2 1 1
direct
0.667 0.334 0.658
0.667 0.334 0.276
0.333 0.666 0.094
0.667 0.334 0.135
0.666 0.332 0.053
0.334 0.668 0.699
0.333 0.666 0.618
0.334 0.668 0.244
0.334 0.667 0.309
0.667 0.334 0.513
0.666 0.333 0.442
0.333 0.667 0.478
0.999 0.999 0.361
```

Values from the calculation:
- E_form (eV/f.u.) = -5.84
- distance to the lowest polymorph of the same formula (eV per atom) = 0.015
- crystal system = monoclinic
- symmetry = Cm, No. 8